No. 1
First-principles (PBE-GGA) data for an optimized crystal structure of Li3VS4, as listed in the Materials Project database.

## Properties
Magnetization   0.00 μB per formula unit
Piezoelectric modulus e_max   0.64 C/m²
ΔE to the lowest computed polymorph   54 kJ/mol of formula units
Crystal system   tetragonal
E_form   -1.291 eV/atom

a b c (Å): 12.6782 12.6782 7.4149
angles (deg): 90.00 90.00 90.00
Space group P-42_1c (No. 114)
Inequivalent atoms, fractional coordinates:
Li (0.0000, 0.0000, 0.2088) (multiplicity 4)
Li (0.0000, 0.5000, 0.0832) (multiplicity 4)
Li (0.0480, 0.2542, 0.3608) (multiplicity 8)
Li (0.1999, 0.7469, 0.0693) (multiplicity 8)
V (0.0115, 0.7369, 0.7824) (multiplicity 8)
S (0.9998, 0.1831, 0.0358) (multiplicity 8)
S (0.0820, 0.8461, 0.5961) (multiplicity 8)
S (0.1006, 0.6115, 0.3228) (multiplicity 8)
S (0.1406, 0.3097, 0.6752) (multiplicity 8)

=====

No. 2
First-principles (PBE-GGA) data for an optimized crystal structure of Na14Ta2In6Si9S3O48, as listed in the Materials Project database.

## Properties
Magnetization   0.00 μB per formula unit
Crystal system   triclinic
E_form   -2.540 eV/atom

a b c (Å): 9.2384 15.9878 22.6828
angles (deg): 89.81 89.96 89.96
Space group P1 (No. 1)
Inequivalent atoms, fractional coordinates:
Na (0.0000, 0.0000, 0.0000) (multiplicity 1)
Na (0.0021, 0.0368, 0.6753) (multiplicity 1)
Na (0.0285, 0.6926, 0.9979) (multiplicity 1)
Na (0.0483, 0.3534, 0.6635) (multiplicity 1)
Na (0.1671, 0.1736, 0.2616) (multiplicity 1)
Na (0.1718, 0.5129, 0.5905) (multiplicity 1)
Na (0.1743, 0.8527, 0.9199) (multiplicity 1)
Na (0.1758, 0.8532, 0.4252) (multiplicity 1)
Na (0.1852, 0.1819, 0.7578) (multiplicity 1)
Na (0.1861, 0.5153, 0.0825) (multiplicity 1)
Na (0.3022, 0.0227, 0.8384) (multiplicity 1)
Na (0.3143, 0.3547, 0.1647) (multiplicity 1)
Na (0.3187, 0.6882, 0.5014) (multiplicity 1)
Na (0.3445, 0.0036, 0.5048) (multiplicity 1)
Na (0.3597, 0.0317, 0.1645) (multiplicity 1)
Na (0.3668, 0.3603, 0.5056) (multiplicity 1)
Na (0.3675, 0.7044, 0.8419) (multiplicity 1)
Na (0.3734, 0.6652, 0.1626) (multiplicity 1)
Na (0.4784, 0.1632, 0.6723) (multiplicity 1)
Na (0.4835, 0.2032, 0.3419) (multiplicity 1)
Na (0.4893, 0.8644, 0.0009) (multiplicity 1)
Na (0.4927, 0.5298, 0.6695) (multiplicity 1)
Na (0.5065, 0.5032, 0.0013) (multiplicity 1)
Na (0.5333, 0.1872, 0.9963) (multiplicity 1)
Na (0.5387, 0.8566, 0.6694) (multiplicity 1)
Na (0.5553, 0.5161, 0.3401) (multiplicity 1)
Na (0.6638, 0.0166, 0.5877) (multiplicity 1)
Na (0.6735, 0.3487, 0.9217) (multiplicity 1)
Na (0.6759, 0.3502, 0.4212) (multiplicity 1)
Na (0.6784, 0.0129, 0.0824) (multiplicity 1)
Na (0.6776, 0.6828, 0.2521) (multiplicity 1)
Na (0.6834, 0.6741, 0.7631) (multiplicity 1)
Na (0.8009, 0.8552, 0.1591) (multiplicity 1)
Na (0.8179, 0.1902, 0.5016) (multiplicity 1)
Na (0.8452, 0.4994, 0.5067) (multiplicity 1)
Na (0.8465, 0.5364, 0.1703) (multiplicity 1)
Na (0.8555, 0.8302, 0.8425) (multiplicity 1)
Na (0.8622, 0.8615, 0.5011) (multiplicity 1)
Na (0.8667, 0.1601, 0.1694) (multiplicity 1)
Na (0.9828, 0.6594, 0.6728) (multiplicity 1)
Na (0.9882, 0.3593, 0.9974) (multiplicity 1)
Na (0.9934, 0.3283, 0.3419) (multiplicity 1)
Ta (0.1677, 0.5118, 0.4399) (multiplicity 1)
Ta (0.1799, 0.5209, 0.9377) (multiplicity 1)
Ta (0.1870, 0.8600, 0.2723) (multiplicity 1)
Ta (0.6566, 0.3561, 0.7750) (multiplicity 1)
Ta (0.6696, 0.0212, 0.4385) (multiplicity 1)
Ta (0.6766, 0.0202, 0.9352) (multiplicity 1)
In (0.1724, 0.1785, 0.0922) (multiplicity 1)
In (0.1723, 0.1802, 0.4013) (multiplicity 1)
In (0.1720, 0.1828, 0.9022) (multiplicity 1)
In (0.1719, 0.5156, 0.7380) (multiplicity 1)
In (0.1770, 0.8571, 0.7784) (multiplicity 1)
In (0.1775, 0.5154, 0.2401) (multiplicity 1)
In (0.1780, 0.8560, 0.0657) (multiplicity 1)
In (0.1834, 0.1816, 0.5996) (multiplicity 1)
In (0.1845, 0.8555, 0.5662) (multiplicity 1)
In (0.6656, 0.0188, 0.7439) (multiplicity 1)
In (0.6659, 0.3550, 0.0652) (multiplicity 1)
In (0.6669, 0.6822, 0.0970) (multiplicity 1)
In (0.6721, 0.3557, 0.5675) (multiplicity 1)
In (0.6738, 0.3560, 0.2779) (multiplicity 1)
In (0.6775, 0.0161, 0.2373) (multiplicity 1)
In (0.6791, 0.6776, 0.5953) (multiplicity 1)
In (0.6788, 0.6811, 0.9016) (multiplicity 1)
In (0.6901, 0.6830, 0.4057) (multiplicity 1)
Si (0.0233, 0.0370, 0.5033) (multiplicity 1)
Si (0.0261, 0.3296, 0.5027) (multiplicity 1)
Si (0.0270, 0.0002, 0.1681) (multiplicity 1)
Si (0.0278, 0.6644, 0.8319) (multiplicity 1)
Si (0.3176, 0.3318, 0.0024) (multiplicity 1)
Si (0.3200, 0.3689, 0.3352) (multiplicity 1)
Si (0.3265, 0.9993, 0.6693) (multiplicity 1)
Si (0.3297, 0.0352, 0.0009) (multiplicity 1)
Si (0.3760, 0.3510, 0.6682) (multiplicity 1)
Si (0.3759, 0.6844, 0.0013) (multiplicity 1)
Si (0.3842, 0.0175, 0.3339) (multiplicity 1)
Si (0.4661, 0.5189, 0.8336) (multiplicity 1)
Si (0.4731, 0.1852, 0.5009) (multiplicity 1)
Si (0.4739, 0.8507, 0.1687) (multiplicity 1)
Si (0.5217, 0.5361, 0.4992) (multiplicity 1)
Si (0.5253, 0.5001, 0.1708) (multiplicity 1)
Si (0.5258, 0.1692, 0.8344) (multiplicity 1)
Si (0.5315, 0.8688, 0.8350) (multiplicity 1)
Si (0.5333, 0.8300, 0.5006) (multiplicity 1)
Si (0.8211, 0.8338, 0.0024) (multiplicity 1)
Si (0.8220, 0.4977, 0.6694) (multiplicity 1)
Si (0.8228, 0.1639, 0.3320) (multiplicity 1)
Si (0.8278, 0.5371, 0.0040) (multiplicity 1)
Si (0.8751, 0.1839, 0.0036) (multiplicity 1)
Si (0.8818, 0.5237, 0.3330) (multiplicity 1)
Si (0.9676, 0.0217, 0.8325) (multiplicity 1)
Si (0.9790, 0.6847, 0.5037) (multiplicity 1)
S (0.0211, 0.3694, 0.8355) (multiplicity 1)
S (0.0339, 0.7067, 0.1725) (multiplicity 1)
S (0.3191, 0.6693, 0.3352) (multiplicity 1)
S (0.3249, 0.7043, 0.6684) (multiplicity 1)
S (0.5259, 0.2046, 0.1693) (multiplicity 1)
S (0.8188, 0.2062, 0.6703) (multiplicity 1)
S (0.8297, 0.8679, 0.3347) (multiplicity 1)
S (0.8791, 0.8491, 0.6684) (multiplicity 1)
S (0.9711, 0.3498, 0.1693) (multiplicity 1)
O (0.9997, 0.5155, 0.3894) (multiplicity 1)
O (0.0055, 0.5268, 0.9899) (multiplicity 1)
O (0.0266, 0.0948, 0.5632) (multiplicity 1)
O (0.0484, 0.9410, 0.1114) (multiplicity 1)
O (0.0498, 0.2752, 0.4440) (multiplicity 1)
O (0.0542, 0.4243, 0.8875) (multiplicity 1)
O (0.0547, 0.9315, 0.8374) (multiplicity 1)
O (0.0560, 0.6144, 0.7709) (multiplicity 1)
O (0.0609, 0.4286, 0.1708) (multiplicity 1)
O (0.0680, 0.2753, 0.1664) (multiplicity 1)
O (0.0726, 0.7602, 0.2240) (multiplicity 1)
O (0.0781, 0.1002, 0.8371) (multiplicity 1)
O (0.0804, 0.6001, 0.4904) (multiplicity 1)
O (0.0806, 0.4061, 0.7800) (multiplicity 1)
O (0.0830, 0.9405, 0.5081) (multiplicity 1)
O (0.0845, 0.2868, 0.8412) (multiplicity 1)
O (0.0895, 0.7635, 0.5112) (multiplicity 1)
O (0.0921, 0.7422, 0.1171) (multiplicity 1)
O (0.1001, 0.6213, 0.1768) (multiplicity 1)
O (0.1014, 0.4269, 0.4934) (multiplicity 1)
O (0.1024, 0.6084, 0.8881) (multiplicity 1)
O (0.1017, 0.9434, 0.2257) (multiplicity 1)
O (0.1092, 0.2967, 0.5620) (multiplicity 1)
O (0.1128, 0.0903, 0.1689) (multiplicity 1)
O (0.1147, 0.0757, 0.4497) (multiplicity 1)
O (0.1175, 0.7537, 0.8335) (multiplicity 1)
O (0.2384, 0.4257, 0.9914) (multiplicity 1)
O (0.2427, 0.2994, 0.0651) (multiplicity 1)
O (0.2438, 0.0909, 0.6659) (multiplicity 1)
O (0.2448, 0.7524, 0.3297) (multiplicity 1)
O (0.2471, 0.0757, 0.9454) (multiplicity 1)
O (0.2487, 0.2770, 0.3400) (multiplicity 1)
O (0.2492, 0.9552, 0.7264) (multiplicity 1)
O (0.2519, 0.4063, 0.2743) (multiplicity 1)
O (0.2567, 0.6262, 0.3877) (multiplicity 1)
O (0.2614, 0.7427, 0.6144) (multiplicity 1)
O (0.2613, 0.7606, 0.0083) (multiplicity 1)
O (0.2615, 0.6184, 0.6703) (multiplicity 1)
O (0.2629, 0.9411, 0.0038) (multiplicity 1)
O (0.2743, 0.4353, 0.3900) (multiplicity 1)
O (0.2738, 0.5967, 0.9913) (multiplicity 1)
O (0.2761, 0.4353, 0.6741) (multiplicity 1)
O (0.2794, 0.2656, 0.6698) (multiplicity 1)
O (0.2790, 0.9296, 0.3288) (multiplicity 1)
O (0.2872, 0.1001, 0.3399) (multiplicity 1)
O (0.2917, 0.7541, 0.7214) (multiplicity 1)
O (0.2947, 0.2686, 0.9491) (multiplicity 1)
O (0.2946, 0.6195, 0.2803) (multiplicity 1)
O (0.3088, 0.9416, 0.6100) (multiplicity 1)
O (0.3208, 0.0911, 0.0622) (multiplicity 1)
O (0.3423, 0.5292, 0.4894) (multiplicity 1)
O (0.3450, 0.5141, 0.1744) (multiplicity 1)
O (0.3508, 0.8409, 0.2257) (multiplicity 1)
O (0.3527, 0.1780, 0.8410) (multiplicity 1)
O (0.3546, 0.5031, 0.8907) (multiplicity 1)
O (0.3546, 0.8665, 0.8377) (multiplicity 1)
O (0.3583, 0.8453, 0.5039) (multiplicity 1)
O (0.3647, 0.1990, 0.1655) (multiplicity 1)
O (0.3741, 0.8656, 0.1114) (multiplicity 1)
O (0.3756, 0.5301, 0.7732) (multiplicity 1)
O (0.3779, 0.2046, 0.4431) (multiplicity 1)
O (0.3848, 0.1574, 0.5599) (multiplicity 1)
O (0.4622, 0.6567, 0.0612) (multiplicity 1)
O (0.4719, 0.3668, 0.6095) (multiplicity 1)
O (0.4741, 0.0278, 0.2735) (multiplicity 1)
O (0.4740, 0.7038, 0.9445) (multiplicity 1)
O (0.4774, 0.6785, 0.3397) (multiplicity 1)
O (0.4862, 0.6989, 0.6646) (multiplicity 1)
O (0.4928, 0.3475, 0.0047) (multiplicity 1)
O (0.4952, 0.0018, 0.3909) (multiplicity 1)
O (0.4967, 0.3413, 0.7248) (multiplicity 1)
O (0.4966, 0.3674, 0.3383) (multiplicity 1)
O (0.5063, 0.0100, 0.6719) (multiplicity 1)
O (0.5084, 0.0277, 0.9926) (multiplicity 1)
O (0.5302, 0.5938, 0.5589) (multiplicity 1)
O (0.5414, 0.4399, 0.1129) (multiplicity 1)
O (0.5453, 0.1172, 0.7734) (multiplicity 1)
O (0.5537, 0.7677, 0.4455) (multiplicity 1)
O (0.5580, 0.2543, 0.2227) (multiplicity 1)
O (0.5619, 0.6017, 0.8403) (multiplicity 1)
O (0.5692, 0.4319, 0.8287) (multiplicity 1)
O (0.5696, 0.7649, 0.1710) (multiplicity 1)
O (0.5736, 0.9346, 0.1749) (multiplicity 1)
O (0.5748, 0.9348, 0.8898) (multiplicity 1)
O (0.5762, 0.0971, 0.4912) (multiplicity 1)
O (0.5876, 0.2617, 0.5078) (multiplicity 1)
O (0.5889, 0.4424, 0.5033) (multiplicity 1)
O (0.5896, 0.1189, 0.1713) (multiplicity 1)
O (0.5904, 0.2436, 0.1158) (multiplicity 1)
O (0.5976, 0.5755, 0.4412) (multiplicity 1)
O (0.6001, 0.1178, 0.8913) (multiplicity 1)
O (0.6002, 0.9036, 0.7733) (multiplicity 1)
O (0.6006, 0.4578, 0.2291) (multiplicity 1)
O (0.6018, 0.7764, 0.8404) (multiplicity 1)
O (0.6073, 0.5918, 0.1661) (multiplicity 1)
O (0.6112, 0.7960, 0.5618) (multiplicity 1)
O (0.6124, 0.9239, 0.4898) (multiplicity 1)
O (0.6143, 0.2609, 0.8272) (multiplicity 1)
O (0.7341, 0.2540, 0.3339) (multiplicity 1)
O (0.7350, 0.5772, 0.9514) (multiplicity 1)
O (0.7373, 0.5895, 0.6689) (multiplicity 1)
O (0.7422, 0.7978, 0.0631) (multiplicity 1)
O (0.7464, 0.9284, 0.9929) (multiplicity 1)
O (0.7471, 0.1081, 0.3881) (multiplicity 1)
O (0.7490, 0.4408, 0.7247) (multiplicity 1)
O (0.7561, 0.1203, 0.6740) (multiplicity 1)
O (0.7606, 0.2418, 0.6147) (multiplicity 1)
O (0.7631, 0.7846, 0.3401) (multiplicity 1)
O (0.7641, 0.2637, 0.0102) (multiplicity 1)
O (0.7671, 0.6017, 0.3374) (multiplicity 1)
O (0.7676, 0.4409, 0.0088) (multiplicity 1)
O (0.7726, 0.9054, 0.2799) (multiplicity 1)
O (0.7752, 0.0986, 0.9927) (multiplicity 1)
O (0.7799, 0.2599, 0.7214) (multiplicity 1)
O (0.7827, 0.7740, 0.6654) (multiplicity 1)
O (0.7893, 0.9272, 0.6703) (multiplicity 1)
O (0.7941, 0.1140, 0.2712) (multiplicity 1)
O (0.7965, 0.4334, 0.3371) (multiplicity 1)
O (0.8004, 0.9217, 0.3873) (multiplicity 1)
O (0.8016, 0.7738, 0.9458) (multiplicity 1)
O (0.8031, 0.4440, 0.6091) (multiplicity 1)
O (0.8240, 0.5934, 0.0650) (multiplicity 1)
O (0.8450, 0.0261, 0.4891) (multiplicity 1)
O (0.8516, 0.0086, 0.1745) (multiplicity 1)
O (0.8521, 0.0125, 0.8893) (multiplicity 1)
O (0.8528, 0.3451, 0.5071) (multiplicity 1)
O (0.8565, 0.6805, 0.8386) (multiplicity 1)
O (0.8590, 0.3646, 0.8308) (multiplicity 1)
O (0.8731, 0.7004, 0.1717) (multiplicity 1)
O (0.8781, 0.7116, 0.4491) (multiplicity 1)
O (0.8789, 0.0296, 0.7704) (multiplicity 1)
O (0.8801, 0.3586, 0.1158) (multiplicity 1)
O (0.8818, 0.3390, 0.2229) (multiplicity 1)
O (0.8889, 0.6566, 0.5631) (multiplicity 1)
O (0.9599, 0.1598, 0.0658) (multiplicity 1)
O (0.9692, 0.8572, 0.6141) (multiplicity 1)
O (0.9701, 0.8373, 0.7213) (multiplicity 1)
O (0.9721, 0.5356, 0.2716) (multiplicity 1)
O (0.9803, 0.2011, 0.6692) (multiplicity 1)
O (0.9835, 0.2091, 0.9510) (multiplicity 1)
O (0.9926, 0.8593, 0.3296) (multiplicity 1)
O (0.9942, 0.1804, 0.3385) (multiplicity 1)
O (0.9964, 0.8454, 0.0077) (multiplicity 1)
O (0.9986, 0.5085, 0.6741) (multiplicity 1)

=====

No. 3
First-principles (PBE-GGA) data for an optimized crystal structure of KAl2P2H9O13, as listed in the Materials Project database.

## Properties
Magnetization   0.00 μB per formula unit
Crystal system   orthorhombic
E_form   -2.156 eV/atom

a b c (Å): 9.4764 9.8969 5.5978
angles (deg): 90.00 90.00 90.00
Space group Pba2 (No. 32)
Inequivalent atoms, fractional coordinates:
K (0.0000, 0.0000, 0.0000) (multiplicity 2)
Al (0.1378, 0.3885, 0.0412) (multiplicity 4)
P (0.1504, 0.6723, 0.7912) (multiplicity 4)
H (0.0000, 0.5000, 0.3584) (multiplicity 2)
H (0.0094, 0.7319, 0.3738) (multiplicity 4)
H (0.1531, 0.2203, 0.3939) (multiplicity 4)
H (0.2075, 0.8687, 0.4210) (multiplicity 4)
H (0.2373, 0.5243, 0.4115) (multiplicity 4)
O (0.0000, 0.5000, 0.1848) (multiplicity 2)
O (0.0125, 0.3224, 0.8162) (multiplicity 4)
O (0.0754, 0.2432, 0.2787) (multiplicity 4)
O (0.1855, 0.7004, 0.5233) (multiplicity 4)
O (0.2092, 0.5309, 0.8561) (multiplicity 4)
O (0.2139, 0.7808, 0.9561) (multiplicity 4)
O (0.2301, 0.9467, 0.3141) (multiplicity 4)

=====

No. 4
First-principles (PBE-GGA) data for an optimized crystal structure of BaH2S2O8, as listed in the Materials Project database.

## Properties
Magnetization   0.00 μB per formula unit
Piezoelectric modulus e_max   0.08 C/m²
Crystal system   orthorhombic
E_form   -2.075 eV/atom

a b c (Å): 4.7911 10.7955 13.3670
angles (deg): 90.00 90.00 90.00
Space group P2_12_12_1 (No. 19)
Inequivalent atoms, fractional coordinates:
Ba (0.0075, 0.0626, 0.3357) (multiplicity 4)
H (0.0566, 0.5537, 0.8688) (multiplicity 4)
H (0.2133, 0.2396, 0.0904) (multiplicity 4)
S (0.0363, 0.4212, 0.4366) (multiplicity 4)
S (0.0622, 0.2155, 0.8148) (multiplicity 4)
O (0.0163, 0.3245, 0.7510) (multiplicity 4)
O (0.0229, 0.9414, 0.9568) (multiplicity 4)
O (0.0257, 0.7957, 0.0974) (multiplicity 4)
O (0.0593, 0.6011, 0.7272) (multiplicity 4)
O (0.0771, 0.0163, 0.1299) (multiplicity 4)
O (0.0861, 0.7413, 0.5808) (multiplicity 4)
O (0.1308, 0.5598, 0.9377) (multiplicity 4)
O (0.1451, 0.8017, 0.3435) (multiplicity 4)